1.
A geometry-optimized Sr4LaMn5O15 structure, computed with PBE+U.

Formation enthalpy at 0 K (eV/atom): -2.5789
Total magnetic moment (μB/f.u.): 15.999
MP2020-corrected energy (eV per atom): -7.848
ΔE to the lowest computed polymorph (meV per atom): 4
Symmetry: No. 8

Cell lengths 9.482, 9.482, 13.437 Å; angles 117.26, 117.26, 33.45 degrees
Fractional coordinates of all 50 atoms:
1 Sr 0.000 0.000 0.000
2 Sr 0.000 0.000 0.499
3 Sr 0.198 0.198 0.298
4 Sr 0.199 0.199 0.798
5 Sr 0.400 0.400 0.099
6 Sr 0.401 0.401 0.599
7 Sr 0.599 0.599 0.397
8 Sr 0.600 0.600 0.898
9 La 0.799 0.799 0.198
10 La 0.800 0.800 0.699
11 Mn 0.000 0.000 0.249
12 Mn 0.000 0.000 0.749
13 Mn 0.199 0.199 0.048
14 Mn 0.199 0.199 0.548
15 Mn 0.400 0.400 0.849
16 Mn 0.401 0.401 0.350
17 Mn 0.598 0.598 0.147
18 Mn 0.599 0.599 0.648
19 Mn 0.799 0.799 0.448
20 Mn 0.800 0.800 0.948
21 O 0.094 0.603 0.394
22 O 0.094 0.603 0.896
23 O 0.097 0.097 0.397
24 O 0.098 0.098 0.899
25 O 0.191 0.699 0.294
26 O 0.191 0.701 0.795
27 O 0.296 0.296 0.193
28 O 0.298 0.298 0.695
29 O 0.298 0.800 0.699
30 O 0.300 0.801 0.200
31 O 0.407 0.901 0.602
32 O 0.409 0.900 0.103
33 O 0.498 0.498 0.493
34 O 0.503 0.503 0.001
35 O 0.505 0.996 0.002
36 O 0.506 0.997 0.503
37 O 0.603 0.094 0.394
38 O 0.603 0.094 0.896
39 O 0.699 0.191 0.294
40 O 0.701 0.191 0.795
41 O 0.705 0.705 0.302
42 O 0.705 0.705 0.803
43 O 0.800 0.298 0.699
44 O 0.801 0.300 0.200
45 O 0.898 0.898 0.601
46 O 0.899 0.899 0.102
47 O 0.900 0.409 0.103
48 O 0.901 0.407 0.602
49 O 0.996 0.505 0.002
50 O 0.997 0.506 0.503



2.
A geometry-optimized SrLaMnO4 structure, computed with PBE+U.

Formation enthalpy at 0 K (eV/atom): -3.0223
Total magnetic moment (μB/f.u.): 4.000
MP2020-corrected energy (eV per atom): -8.105
ΔE to the lowest computed polymorph (meV per atom): 6
Symmetry: No. 63

Cell lengths 6.973, 6.973, 5.522 Å; angles 90.00, 90.00, 133.54 degrees
Fractional coordinates of all 14 atoms:
1 Sr 0.105 0.895 0.750
2 Sr 0.895 0.105 0.250
3 La 0.390 0.610 0.750
4 La 0.610 0.390 0.250
5 Mn 0.247 0.753 0.250
6 Mn 0.753 0.247 0.750
7 O 0.000 0.500 0.000
8 O 0.000 0.500 0.500
9 O 0.085 0.915 0.250
10 O 0.428 0.572 0.250
11 O 0.500 0.000 0.000
12 O 0.500 0.000 0.500
13 O 0.572 0.428 0.750
14 O 0.915 0.085 0.750